No. 1
Density functional theory data (PBE) for an optimized crystal structure of MgTe4Mo2W2Se2S2.

M_tot = 0.07 μB per formula unit
total DFT energy (no corrections) = -0.229 Ha/atom
energy above the lowest structure with this stoichiometry = 51 meV/atom
formation energy from the elements = -0.380 eV/atom

Lattice parameters (Å, degrees): 5.955 3.435 38.993 90.00 90.04 90.00
Space group Cm (No. 8)
Unique sites:
Mg (0.000, 0.000, 0.000) (multiplicity 2)
Te (0.166, 0.500, 0.676) (multiplicity 2)
Te (0.166, 0.500, 0.772) (multiplicity 2)
Te (0.333, 0.000, 0.240) (multiplicity 2)
Te (0.333, 0.000, 0.336) (multiplicity 2)
Mo (0.167, 0.500, 0.910) (multiplicity 2)
Mo (0.333, 0.000, 0.101) (multiplicity 2)
W (0.166, 0.500, 0.288) (multiplicity 2)
W (0.333, 0.000, 0.724) (multiplicity 2)
Se (0.166, 0.500, 0.057) (multiplicity 2)
Se (0.166, 0.500, 0.143) (multiplicity 2)
S (0.332, 0.000, 0.951) (multiplicity 2)
S (0.333, 0.000, 0.873) (multiplicity 2)

---

No. 2
Density functional theory data (PBE) for an optimized crystal structure of MgTe4Mo2W2Se2S2.

M_tot = 0.01 μB per formula unit
total DFT energy (no corrections) = -0.229 Ha/atom
energy above the lowest structure with this stoichiometry = 39 meV/atom
formation energy from the elements = -0.392 eV/atom

Lattice parameters (Å, degrees): 3.388 3.388 38.742 90.00 90.00 60.00
Space group P1 (No. 1)
Unique sites:
Mg (0.000, 0.000, 0.000) (multiplicity 1)
Te (0.389, 0.461, 0.175) (multiplicity 1)
Te (0.389, 0.461, 0.273) (multiplicity 1)
Te (0.389, 0.461, 0.551) (multiplicity 1)
Te (0.389, 0.461, 0.648) (multiplicity 1)
Mo (0.056, 0.127, 0.600) (multiplicity 1)
Mo (0.389, 0.460, 0.788) (multiplicity 1)
W (0.056, 0.127, 0.224) (multiplicity 1)
W (0.389, 0.461, 0.412) (multiplicity 1)
Se (0.056, 0.127, 0.745) (multiplicity 1)
Se (0.056, 0.127, 0.830) (multiplicity 1)
S (0.056, 0.127, 0.373) (multiplicity 1)
S (0.056, 0.127, 0.451) (multiplicity 1)

---

No. 3
Density functional theory data (PBE) for an optimized crystal structure of MgTe4Mo2W2Se2S2.

M_tot = 0.00 μB per formula unit
total DFT energy (no corrections) = -0.230 Ha/atom
energy above the lowest structure with this stoichiometry = 34 meV/atom
formation energy from the elements = -0.398 eV/atom

Lattice parameters (Å, degrees): 3.3925 3.3925 47.2949 90.00 90.00 120.00
Space group P3m1 (No. 156)
Unique sites:
Mg (0.0000, 0.0000, 0.0000) (multiplicity 1)
Te (0.3333, 0.6667, 0.0622) (multiplicity 1)
Te (0.3333, 0.6667, 0.1420) (multiplicity 1)
Te (0.3333, 0.6667, 0.4305) (multiplicity 1)
Te (0.3333, 0.6667, 0.5104) (multiplicity 1)
Mo (0.3333, 0.6667, 0.2827) (multiplicity 1)
Mo (0.6667, 0.3333, 0.1023) (multiplicity 1)
W (0.3333, 0.6667, 0.8973) (multiplicity 1)
W (0.6667, 0.3333, 0.4704) (multiplicity 1)
Se (0.6667, 0.3333, 0.8622) (multiplicity 1)
Se (0.6667, 0.3333, 0.9326) (multiplicity 1)
S (0.6667, 0.3333, 0.2509) (multiplicity 1)
S (0.6667, 0.3333, 0.3145) (multiplicity 1)

---

No. 4
Density functional theory data (PBE) for an optimized crystal structure of MgTe2Mo3WSe4S2.

M_tot = 0.01 μB per formula unit
total DFT energy (no corrections) = -0.231 Ha/atom
energy above the lowest structure with this stoichiometry = 36 meV/atom
formation energy from the elements = -0.533 eV/atom

Lattice parameters (Å, degrees): 3.336 3.336 38.053 90.00 90.00 120.00
Space group P1 (No. 1)
Unique sites:
Mg (0.000, 0.000, 0.000) (multiplicity 1)
Te (0.410, 0.742, 0.725) (multiplicity 1)
Te (0.410, 0.742, 0.825) (multiplicity 1)
Mo (0.076, 0.075, 0.399) (multiplicity 1)
Mo (0.076, 0.075, 0.775) (multiplicity 1)
Mo (0.410, 0.742, 0.587) (multiplicity 1)
W (0.410, 0.742, 0.211) (multiplicity 1)
Se (0.077, 0.076, 0.167) (multiplicity 1)
Se (0.077, 0.076, 0.255) (multiplicity 1)
Se (0.410, 0.742, 0.355) (multiplicity 1)
Se (0.410, 0.742, 0.443) (multiplicity 1)
S (0.077, 0.076, 0.547) (multiplicity 1)
S (0.077, 0.076, 0.627) (multiplicity 1)

---

No. 5
Density functional theory data (PBE) for an optimized crystal structure of MgTe4Mo2W2Se2S2.

M_tot = 0.03 μB per formula unit
total DFT energy (no corrections) = -0.229 Ha/atom
energy above the lowest structure with this stoichiometry = 47 meV/atom
formation energy from the elements = -0.385 eV/atom

Lattice parameters (Å, degrees): 3.4018 3.4018 45.5791 90.00 90.00 120.00
Space group P3m1 (No. 156)
Unique sites:
Mg (0.0000, 0.0000, 0.0000) (multiplicity 1)
Te (0.3333, 0.6667, 0.4162) (multiplicity 1)
Te (0.3333, 0.6667, 0.4988) (multiplicity 1)
Te (0.6667, 0.3333, 0.8458) (multiplicity 1)
Te (0.6667, 0.3333, 0.9286) (multiplicity 1)
Mo (0.3333, 0.6667, 0.2696) (multiplicity 1)
Mo (0.6667, 0.3333, 0.0888) (multiplicity 1)
W (0.3333, 0.6667, 0.8871) (multiplicity 1)
W (0.6667, 0.3333, 0.4575) (multiplicity 1)
Se (0.6667, 0.3333, 0.2334) (multiplicity 1)
Se (0.6667, 0.3333, 0.3057) (multiplicity 1)
S (0.3333, 0.6667, 0.0555) (multiplicity 1)
S (0.3333, 0.6667, 0.1215) (multiplicity 1)

---

No. 6
Density functional theory data (PBE) for an optimized crystal structure of MgTe4Mo2W2Se2S2.

M_tot = 0.01 μB per formula unit
total DFT energy (no corrections) = -0.229 Ha/atom
energy above the lowest structure with this stoichiometry = 40 meV/atom
formation energy from the elements = -0.392 eV/atom

Lattice parameters (Å, degrees): 3.387 3.387 38.711 90.00 90.00 120.00
Space group P1 (No. 1)
Unique sites:
Mg (0.000, 0.000, 0.000) (multiplicity 1)
Te (0.028, 0.023, 0.734) (multiplicity 1)
Te (0.028, 0.023, 0.832) (multiplicity 1)
Te (0.362, 0.689, 0.171) (multiplicity 1)
Te (0.362, 0.689, 0.268) (multiplicity 1)
Mo (0.028, 0.023, 0.219) (multiplicity 1)
Mo (0.028, 0.023, 0.595) (multiplicity 1)
W (0.362, 0.690, 0.407) (multiplicity 1)
W (0.362, 0.690, 0.783) (multiplicity 1)
Se (0.362, 0.689, 0.552) (multiplicity 1)
Se (0.362, 0.689, 0.638) (multiplicity 1)
S (0.028, 0.023, 0.368) (multiplicity 1)
S (0.029, 0.023, 0.446) (multiplicity 1)

---

No. 7
Density functional theory data (PBE) for an optimized crystal structure of MgTe4Mo2W2Se2S2.

M_tot = 0.01 μB per formula unit
total DFT energy (no corrections) = -0.230 Ha/atom
energy above the lowest structure with this stoichiometry = 12 meV/atom
formation energy from the elements = -0.419 eV/atom

Lattice parameters (Å, degrees): 5.886 3.397 44.721 90.00 91.31 90.00
Space group Cm (No. 8)
Unique sites:
Mg (0.000, 0.000, 0.000) (multiplicity 2)
Te (0.008, 0.000, 0.322) (multiplicity 2)
Te (0.160, 0.500, 0.674) (multiplicity 2)
Te (0.174, 0.500, 0.758) (multiplicity 2)
Te (0.494, 0.500, 0.237) (multiplicity 2)
Mo (0.000, 0.000, 0.716) (multiplicity 2)
Mo (0.167, 0.500, 0.899) (multiplicity 2)
W (0.168, 0.500, 0.280) (multiplicity 2)
W (0.490, 0.500, 0.100) (multiplicity 2)
Se (0.007, 0.000, 0.936) (multiplicity 2)
Se (0.494, 0.500, 0.862) (multiplicity 2)
S (0.151, 0.500, 0.066) (multiplicity 2)
S (0.162, 0.500, 0.134) (multiplicity 2)

---

No. 8
Density functional theory data (PBE) for an optimized crystal structure of MgTe4Mo2W2Se2S2.

M_tot = 0.00 μB per formula unit
total DFT energy (no corrections) = -0.229 Ha/atom
energy above the lowest structure with this stoichiometry = 51 meV/atom
formation energy from the elements = -0.380 eV/atom

Lattice parameters (Å, degrees): 3.3974 3.3974 46.0066 90.00 90.00 120.00
Space group P3m1 (No. 156)
Unique sites:
Mg (0.0000, 0.0000, 0.0000) (multiplicity 1)
Te (0.3333, 0.6667, 0.0673) (multiplicity 1)
Te (0.3333, 0.6667, 0.1496) (multiplicity 1)
Te (0.3333, 0.6667, 0.4348) (multiplicity 1)
Te (0.3333, 0.6667, 0.5169) (multiplicity 1)
Mo (0.3333, 0.6667, 0.2880) (multiplicity 1)
Mo (0.3333, 0.6667, 0.9033) (multiplicity 1)
W (0.6667, 0.3333, 0.1086) (multiplicity 1)
W (0.6667, 0.3333, 0.4758) (multiplicity 1)
Se (0.6667, 0.3333, 0.8676) (multiplicity 1)
Se (0.6667, 0.3333, 0.9397) (multiplicity 1)
S (0.6667, 0.3333, 0.2554) (multiplicity 1)
S (0.6667, 0.3333, 0.3207) (multiplicity 1)

---

No. 9
Density functional theory data (PBE) for an optimized crystal structure of MgTe4Mo2W2Se2S2.

M_tot = 0.01 μB per formula unit
total DFT energy (no corrections) = -0.231 Ha/atom
energy above the lowest structure with this stoichiometry = 4 meV/atom
formation energy from the elements = -0.427 eV/atom

Lattice parameters (Å, degrees): 3.3889 3.3889 46.0483 90.00 90.00 120.00
Space group P3m1 (No. 156)
Unique sites:
Mg (0.0000, 0.0000, 0.0000) (multiplicity 1)
Te (0.3333, 0.6667, 0.2433) (multiplicity 1)
Te (0.3333, 0.6667, 0.3247) (multiplicity 1)
Te (0.6667, 0.3333, 0.6797) (multiplicity 1)
Te (0.6667, 0.3333, 0.7612) (multiplicity 1)
Mo (0.3333, 0.6667, 0.7204) (multiplicity 1)
Mo (0.6667, 0.3333, 0.2840) (multiplicity 1)
W (0.3333, 0.6667, 0.1025) (multiplicity 1)
W (0.6667, 0.3333, 0.9010) (multiplicity 1)
Se (0.6667, 0.3333, 0.0662) (multiplicity 1)
Se (0.6667, 0.3333, 0.1385) (multiplicity 1)
S (0.3333, 0.6667, 0.8685) (multiplicity 1)
S (0.3333, 0.6667, 0.9338) (multiplicity 1)

---

No. 10
Density functional theory data (PBE) for an optimized crystal structure of MgTe2MoW3Se4S2.

M_tot = 0.00 μB per formula unit
total DFT energy (no corrections) = -0.241 Ha/atom
energy above the lowest structure with this stoichiometry = 21 meV/atom
formation energy from the elements = -0.493 eV/atom

Lattice parameters (Å, degrees): 3.333 3.333 38.174 90.00 89.98 60.00
Space group P1 (No. 1)
Unique sites:
Mg (0.000, 0.000, 0.000) (multiplicity 1)
Te (0.038, 0.955, 0.278) (multiplicity 1)
Te (0.039, 0.955, 0.178) (multiplicity 1)
Mo (0.705, 0.621, 0.228) (multiplicity 1)
W (0.038, 0.955, 0.416) (multiplicity 1)
W (0.038, 0.955, 0.792) (multiplicity 1)
W (0.705, 0.621, 0.604) (multiplicity 1)
Se (0.705, 0.621, 0.372) (multiplicity 1)
Se (0.705, 0.621, 0.460) (multiplicity 1)
Se (0.705, 0.621, 0.748) (multiplicity 1)
Se (0.705, 0.621, 0.836) (multiplicity 1)
S (0.038, 0.955, 0.644) (multiplicity 1)
S (0.039, 0.954, 0.564) (multiplicity 1)

---

Which of these has the highest M_tot?
number 1